(1)
# K2LiMn2O4

K2LiMn2O4 after structural relaxation (GGA+U, the Materials Project database).

Polymorph energy (0 for the lowest one) = 32.6 meV/atom
Total magnetic moment = 9.00 μB/f.u.
ΔE_f = -1774 meV per atom
Energy with MP2020 corrections = -6.468 eV per atom
Crystal system = monoclinic
Mass density = 3.2 Mg/m³

abc: 6.6574 3.0520 6.9830
angles: 90.00 106.95 90.00
Sites, in units of the cell vectors:
K 0.0000 0.0000 0.0000
K 0.4962 0.5000 0.4989
Li 0.3120 0.5000 0.7994
Mn 0.5444 0.0000 0.0725
Mn 0.9731 0.5000 0.4823
O 0.1819 0.0000 0.6359
O 0.3513 0.5000 0.1000
O 0.6436 0.5000 0.9319
O 0.7698 0.0000 0.3597

(2)
# Sr2MgZrMnO6

Sr2MgZrMnO6 after structural relaxation (GGA+U, the Materials Project database).

Polymorph energy (0 for the lowest one) = 59.1 meV/atom
Total magnetic moment = 5.00 μB/f.u.
ΔE_f = -2787 meV per atom
Energy with MP2020 corrections = -7.548 eV per atom
Crystal system = orthorhombic
Mass density = 4.4 Mg/m³

abc: 6.4122 6.4122 6.4122
angles: 125.89 125.74 80.19
Sites, in units of the cell vectors:
Sr 0.1804 0.1804 0.0000
Sr 0.8196 0.8196 0.0000
Mg 0.5000 0.5000 0.0000
Zr 0.0000 0.5000 0.5000
Mn 0.5000 0.0000 0.5000
O 0.2204 0.7204 0.5000
O 0.2565 0.2521 0.5086
O 0.2565 0.7479 0.0044
O 0.7435 0.2521 0.9956
O 0.7435 0.7479 0.4914
O 0.7796 0.2796 0.5000

(3)
# K2Cr2O7

K2Cr2O7 after structural relaxation (GGA+U, the Materials Project database).

Polymorph energy (0 for the lowest one) = 0.0 meV/atom
ΔE_f = -1930 meV per atom
Energy with MP2020 corrections = -7.036 eV per atom
Crystal system = triclinic
Mass density = 2.5 Mg/m³

abc: 7.5904 7.6462 13.6644
angles: 95.22 97.50 90.93
Sites, in units of the cell vectors:
K 0.1057 0.1645 0.1387
K 0.2544 0.2586 0.8489
K 0.3107 0.8479 0.6364
K 0.3391 0.5857 0.3405
K 0.6609 0.4143 0.6595
K 0.6893 0.1521 0.3636
K 0.7456 0.7414 0.1511
K 0.8943 0.8355 0.8613
Cr 0.1826 0.0783 0.3867
Cr 0.1882 0.3468 0.5831
Cr 0.2064 0.6903 0.0865
Cr 0.4054 0.7280 0.8929
Cr 0.5946 0.2720 0.1071
Cr 0.7936 0.3097 0.9135
Cr 0.8118 0.6532 0.4169
Cr 0.8174 0.9217 0.6133
O 0.0221 0.9953 0.3031
O 0.0381 0.4316 0.6463
O 0.0415 0.8215 0.0589
O 0.0806 0.2087 0.4778
O 0.1342 0.5252 0.1396
O 0.2823 0.8858 0.8503
O 0.2898 0.6099 0.9743
O 0.2970 0.9234 0.4375
O 0.3072 0.5024 0.5456
O 0.3134 0.2043 0.3345
O 0.3214 0.2262 0.6517
O 0.3626 0.7986 0.1620
O 0.4060 0.1927 0.0477
O 0.4391 0.5875 0.8001
O 0.5609 0.4125 0.1999
O 0.5940 0.8073 0.9523
O 0.6374 0.2014 0.8380
O 0.6786 0.7738 0.3483
O 0.6866 0.7957 0.6655
O 0.6928 0.4976 0.4544
O 0.7030 0.0766 0.5625
O 0.7102 0.3901 0.0257
O 0.7177 0.1142 0.1497
O 0.8658 0.4748 0.8604
O 0.9194 0.7913 0.5222
O 0.9585 0.1785 0.9411
O 0.9619 0.5684 0.3537
O 0.9779 0.0047 0.6969

(4)
# Sr2Ca2FeCo3O12

Sr2Ca2FeCo3O12 after structural relaxation (GGA+U, the Materials Project database).

Total magnetic moment = 13.36 μB/f.u.
ΔE_f = -2019 meV per atom
Energy with MP2020 corrections = -6.847 eV per atom
Crystal system = monoclinic
Mass density = 5.0 Mg/m³

abc: 7.5909 7.8214 7.6801
angles: 90.00 90.00 90.00
Sites, in units of the cell vectors:
Sr 0.0000 0.0000 0.0000
Sr 0.9999 0.0000 0.4930
Sr 0.0005 0.5000 0.4932
Sr 0.4981 0.5000 0.0000
Ca 0.5031 0.0000 0.0075
Ca 0.5030 0.0000 0.4872
Ca 0.5047 0.5000 0.4871
Ca 0.9954 0.5000 0.0063
Fe 0.7473 0.2498 0.7468
Fe 0.7473 0.7502 0.7468
Co 0.2500 0.2500 0.7467
Co 0.2500 0.7500 0.7467
Co 0.2512 0.2499 0.2468
Co 0.2512 0.7501 0.2468
Co 0.7483 0.2501 0.2465
Co 0.7483 0.7499 0.2465
O 0.0125 0.2512 0.7483
O 0.0125 0.7488 0.7483
O 0.2462 0.5000 0.2458
O 0.2499 0.2494 0.0119
O 0.2499 0.7506 0.0119
O 0.2514 0.5000 0.7462
O 0.2531 0.0000 0.7466
O 0.2535 0.2498 0.4814
O 0.2535 0.7502 0.4814
O 0.2703 0.0000 0.2468
O 0.4865 0.2492 0.7455
O 0.4865 0.7508 0.7455
O 0.5114 0.2527 0.2480
O 0.5114 0.7473 0.2480
O 0.7384 0.0000 0.2470
O 0.7429 0.2499 0.4994
O 0.7429 0.7501 0.4994
O 0.7439 0.0000 0.7464
O 0.7470 0.5000 0.7461
O 0.7477 0.2497 0.9940
O 0.7477 0.7503 0.9940
O 0.7499 0.5000 0.2474
O 0.9867 0.2488 0.2452
O 0.9867 0.7512 0.2452

(5)
# Fe4O3F5

Fe4O3F5 after structural relaxation (GGA+U, the Materials Project database).

Polymorph energy (0 for the lowest one) = 58.8 meV/atom
Total magnetic moment = 19.00 μB/f.u.
ΔE_f = -2137 meV per atom
Energy with MP2020 corrections = -6.995 eV per atom
Crystal system = triclinic
Mass density = 4.3 Mg/m³

abc: 4.8150 6.1689 10.0933
angles: 72.22 88.90 89.81
Sites, in units of the cell vectors:
Fe 0.0000 0.0000 0.0000
Fe 0.0000 0.5000 0.0000
Fe 0.0015 0.2659 0.4997
Fe 0.4268 0.6264 0.2455
Fe 0.4661 0.1127 0.2714
Fe 0.5339 0.8873 0.7286
Fe 0.5732 0.3736 0.7545
Fe 0.9985 0.7341 0.5003
O 0.1776 0.6908 0.0923
O 0.2857 0.8243 0.3503
O 0.2941 0.3237 0.3523
O 0.7059 0.6763 0.6477
O 0.7143 0.1757 0.6497
O 0.8224 0.3092 0.9077
F 0.2021 0.9496 0.6009
F 0.2140 0.4456 0.6101
F 0.2150 0.2137 0.1014
F 0.3139 0.5838 0.8431
F 0.3304 0.0774 0.8404
F 0.6696 0.9226 0.1596
F 0.6861 0.4162 0.1569
F 0.7850 0.7863 0.8986
F 0.7860 0.5544 0.3899
F 0.7979 0.0504 0.3991

(6)
# Li3Fe8B8O24

Li3Fe8B8O24 after structural relaxation (GGA+U, the Materials Project database).

Polymorph energy (0 for the lowest one) = 5.6 meV/atom
Total magnetic moment = 37.00 μB/f.u.
ΔE_f = -2250 meV per atom
Energy with MP2020 corrections = -7.963 eV per atom
Crystal system = triclinic
Mass density = 3.2 Mg/m³

abc: 5.2594 9.1718 10.0832
angles: 89.13 89.86 89.34
Sites, in units of the cell vectors:
Li 0.0000 0.0000 0.0000
Li 0.1506 0.1565 0.7301
Li 0.4796 0.5018 0.4902
Fe 0.0022 0.3350 0.9760
Fe 0.1272 0.8261 0.7195
Fe 0.1515 0.4981 0.2171
Fe 0.4839 0.1658 0.4679
Fe 0.4912 0.8284 0.9649
Fe 0.6445 0.9892 0.2278
Fe 0.6512 0.3284 0.7230
Fe 0.9829 0.6710 0.4740
B 0.1449 0.4887 0.7095
B 0.1548 0.8275 0.2158
B 0.4796 0.8234 0.4687
B 0.4885 0.1557 0.9633
B 0.6461 0.0054 0.7290
B 0.6566 0.3290 0.2235
B 0.9850 0.3384 0.4775
B 0.9860 0.6691 0.9753
O 0.0087 0.3702 0.7615
O 0.0189 0.6156 0.6705
O 0.0718 0.6986 0.2747
O 0.0927 0.4706 0.4262
O 0.1141 0.5452 0.0213
O 0.1269 0.2173 0.4922
O 0.1283 0.7913 0.9347
O 0.2267 0.8233 0.5102
O 0.2284 0.1560 0.9539
O 0.4014 0.4745 0.6922
O 0.4063 0.8364 0.1712
O 0.4961 0.8902 0.7723
O 0.4972 0.4467 0.2323
O 0.5166 0.1329 0.6841
O 0.5699 0.1907 0.2598
O 0.5848 0.9518 0.4198
O 0.6214 0.0300 0.0128
O 0.6221 0.6971 0.4750
O 0.6332 0.2724 0.9189
O 0.7293 0.3446 0.5184
O 0.7286 0.6765 0.9679
O 0.9045 0.0024 0.7329
O 0.9096 0.3436 0.1846
O 0.9927 0.9426 0.1947

(7)
# KMnIO6

KMnIO6 after structural relaxation (GGA+U, the Materials Project database).

Total magnetic moment = 0.00 μB/f.u.
ΔE_f = -1460 meV per atom
Maximum piezoelectric response = 0.47 C/m2
Energy with MP2020 corrections = -6.070 eV per atom
Mass density = 3.8 Mg/m³

abc: 5.1280 5.1280 12.2566
angles: 90.00 90.00 120.00
Sites, in units of the cell vectors:
O 0.6712 0.9538 0.5882
K 0.6667 0.3333 0.2500
O 0.0462 0.7174 0.0882
O 0.2826 0.3288 0.0882
O 0.2826 0.9538 0.9118
O 0.2826 0.9538 0.4118
I 0.0000 0.0000 0.0000
O 0.6712 0.7174 0.9118
Mn 0.3333 0.6667 0.5000
O 0.0462 0.3288 0.9118
K 0.6667 0.3333 0.7500
O 0.6712 0.7174 0.4118
O 0.0462 0.3288 0.4118
O 0.2826 0.3288 0.5882
I 0.0000 0.0000 0.5000
O 0.0462 0.7174 0.5882
O 0.6712 0.9538 0.0882
Mn 0.3333 0.6667 0.0000

(8)
# Mn2O3

Mn2O3 after structural relaxation (GGA+U, the Materials Project database).

Total magnetic moment = 8.00 μB/f.u.
ΔE_f = -2014 meV per atom
Energy with MP2020 corrections = -8.648 eV per atom
Crystal system = orthorhombic
Mass density = 4.7 Mg/m³

abc: 9.5803 9.6087 9.6584
angles: 90.00 90.00 90.00
Sites, in units of the cell vectors:
Mn 0.0000 0.0000 0.0000
Mn 0.0000 0.0000 0.5000
Mn 0.0000 0.5000 0.0000
Mn 0.0000 0.5000 0.5000
Mn 0.0091 0.2412 0.2141
Mn 0.0091 0.2588 0.7141
Mn 0.2158 0.0118 0.7466
Mn 0.2158 0.4882 0.2466
Mn 0.2436 0.7121 0.9999
Mn 0.2436 0.7879 0.4999
Mn 0.2564 0.2121 0.9999
Mn 0.2564 0.2879 0.4999
Mn 0.2842 0.5118 0.7466
Mn 0.2842 0.9882 0.2466
Mn 0.4909 0.7412 0.2141
Mn 0.4909 0.7588 0.7141
Mn 0.5000 0.0000 0.0000
Mn 0.5000 0.0000 0.5000
Mn 0.5000 0.5000 0.0000
Mn 0.5000 0.5000 0.5000
Mn 0.5091 0.2412 0.2859
Mn 0.5091 0.2588 0.7859
Mn 0.7158 0.0118 0.7534
Mn 0.7158 0.4882 0.2534
Mn 0.7436 0.7121 0.5001
Mn 0.7436 0.7879 0.0001
Mn 0.7564 0.2121 0.5001
Mn 0.7564 0.2879 0.0001
Mn 0.7842 0.5118 0.7534
Mn 0.7842 0.9882 0.2534
Mn 0.9909 0.7412 0.2859
Mn 0.9909 0.7588 0.7859
O 0.0804 0.6212 0.1462
O 0.0804 0.8788 0.6462
O 0.0934 0.1398 0.8527
O 0.0934 0.3602 0.3527
O 0.1227 0.6421 0.4167
O 0.1227 0.8579 0.9167
O 0.1385 0.1536 0.5882
O 0.1385 0.3464 0.0882
O 0.1388 0.5858 0.8723
O 0.1388 0.9142 0.3723
O 0.1487 0.0768 0.1253
O 0.1487 0.4232 0.6253
O 0.3513 0.5768 0.1253
O 0.3513 0.9232 0.6253
O 0.3612 0.0858 0.8723
O 0.3612 0.4142 0.3723
O 0.3615 0.6536 0.5882
O 0.3615 0.8464 0.0882
O 0.3773 0.1421 0.4167
O 0.3773 0.3579 0.9167
O 0.4066 0.6398 0.8527
O 0.4066 0.8602 0.3527
O 0.4196 0.1212 0.1462
O 0.4196 0.3788 0.6462
O 0.5804 0.6212 0.3538
O 0.5804 0.8788 0.8538
O 0.5934 0.1398 0.6473
O 0.5934 0.3602 0.1473
O 0.6227 0.6421 0.0833
O 0.6227 0.8579 0.5833
O 0.6385 0.1536 0.9118
O 0.6385 0.3464 0.4118
O 0.6388 0.5858 0.6277
O 0.6388 0.9142 0.1277
O 0.6487 0.0768 0.3747
O 0.6487 0.4232 0.8747
O 0.8513 0.5768 0.3747
O 0.8513 0.9232 0.8747
O 0.8612 0.0858 0.6277
O 0.8612 0.4142 0.1277
O 0.8615 0.6536 0.9118
O 0.8615 0.8464 0.4118
O 0.8773 0.1421 0.0833
O 0.8773 0.3579 0.5833
O 0.9066 0.6398 0.6473
O 0.9066 0.8602 0.1473
O 0.9196 0.1212 0.3538
O 0.9196 0.3788 0.8538